# 1
# PBE-GGA Sr2CuF6, optimized geometry
data_Sr2CuF6
_chemical_formula_sum 'Sr8 Cu4 F24'
_cell_length_a 5.8129
_cell_length_b 5.8129
_cell_length_c 16.5848
_cell_angle_alpha 90.00
_cell_angle_beta 90.00
_cell_angle_gamma 90.00
_space_group_name_H-M_alt 'P 1'
_space_group_IT_number 1
_space_group_name_Hall 'P 1'
loop_
_atom_site_label
_atom_site_fract_x
_atom_site_fract_y
_atom_site_fract_z
_atom_site_occupancy
Sr1 0.0000 0.0000 0.1614 1
Sr2 0.0000 0.0000 0.8386 1
Sr3 0.0000 0.5000 0.3376 1
Sr4 0.0000 0.5000 0.6624 1
Sr5 0.5000 0.0000 0.3376 1
Sr6 0.5000 0.0000 0.6624 1
Sr7 0.5000 0.5000 0.1614 1
Sr8 0.5000 0.5000 0.8386 1
Cu1 0.0000 0.0000 0.5000 1
Cu2 0.0000 0.5000 0.0000 1
Cu3 0.5000 0.0000 0.0000 1
Cu4 0.5000 0.5000 0.5000 1
F1 0.1651 0.3331 0.9189 1
F2 0.1669 0.3349 0.0811 1
F3 0.1724 0.1720 0.5806 1
F4 0.1720 0.8276 0.4194 1
F5 0.2422 0.7491 0.7505 1
F6 0.2491 0.7422 0.2495 1
F7 0.2509 0.2422 0.2495 1
F8 0.2578 0.2491 0.7505 1
F9 0.3280 0.3276 0.4194 1
F10 0.3276 0.6720 0.5806 1
F11 0.3331 0.8349 0.0811 1
F12 0.3349 0.8331 0.9189 1
F13 0.6651 0.1669 0.9189 1
F14 0.6669 0.1651 0.0811 1
F15 0.6724 0.3280 0.5806 1
F16 0.6720 0.6724 0.4194 1
F17 0.7422 0.7509 0.7505 1
F18 0.7491 0.7578 0.2495 1
F19 0.7509 0.2578 0.2495 1
F20 0.7578 0.2509 0.7505 1
F21 0.8280 0.1724 0.4194 1
F22 0.8276 0.8280 0.5806 1
F23 0.8331 0.6651 0.0811 1
F24 0.8349 0.6669 0.9189 1
# * electronic total energy: -5.204 eV per atom
# * ΔE to the lowest computed polymorph: 40 meV per atom
# * space-group type: P-4b2

***

# 2
# PBE-GGA Sm2ZnSb4, optimized geometry
data_Sm2ZnSb4
_chemical_formula_sum 'Sm2 Zn1 Sb4'
_cell_length_a 4.3537
_cell_length_b 4.3537
_cell_length_c 10.1875
_cell_angle_alpha 90.00
_cell_angle_beta 90.00
_cell_angle_gamma 90.00
_space_group_name_H-M_alt 'P 1'
_space_group_IT_number 1
_space_group_name_Hall 'P 1'
loop_
_atom_site_label
_atom_site_fract_x
_atom_site_fract_y
_atom_site_fract_z
_atom_site_occupancy
Sm1 0.0000 0.5000 0.2454 1
Sm2 0.5000 0.0000 0.7546 1
Zn1 0.5000 0.5000 0.5000 1
Sb1 0.0000 0.0000 0.0000 1
Sb2 0.0000 0.5000 0.6573 1
Sb3 0.5000 0.0000 0.3427 1
Sb4 0.5000 0.5000 0.0000 1
# * electronic total energy: -4.594 eV per atom
# * space-group type: P-4m2

***

# 3
# PBE-GGA ErAlNi, optimized geometry
data_ErAlNi
_chemical_formula_sum 'Er4 Al4 Ni4'
_cell_length_a 8.5451
_cell_length_b 5.2538
_cell_length_c 5.2538
_cell_angle_alpha 61.34
_cell_angle_beta 90.00
_cell_angle_gamma 90.00
_space_group_name_H-M_alt 'P 1'
_space_group_IT_number 1
_space_group_name_Hall 'P 1'
loop_
_atom_site_label
_atom_site_fract_x
_atom_site_fract_y
_atom_site_fract_z
_atom_site_occupancy
Er1 0.1816 0.0000 0.0000 1
Er2 0.2921 0.6691 0.6691 1
Er3 0.7079 0.6691 0.6691 1
Er4 0.8184 0.0000 0.0000 1
Al1 0.0000 0.4720 0.4720 1
Al2 0.5000 0.1657 0.1657 1
Al3 0.5000 0.1675 0.6619 1
Al4 0.5000 0.6619 0.1675 1
Ni1 0.0000 0.4822 0.9904 1
Ni2 0.0000 0.9904 0.4822 1
Ni3 0.2593 0.3329 0.3329 1
Ni4 0.7407 0.3329 0.3329 1
# * electronic total energy: -5.226 eV per atom
# * space-group type: Amm2

***

# 4
# PBE-GGA Bi2Pd3S2, optimized geometry
data_Bi2Pd3S2
_chemical_formula_sum 'Bi2 Pd3 S2'
_cell_length_a 5.7569
_cell_length_b 5.7569
_cell_length_c 5.7569
_cell_angle_alpha 65.30
_cell_angle_beta 65.30
_cell_angle_gamma 65.30
_space_group_name_H-M_alt 'P 1'
_space_group_IT_number 1
_space_group_name_Hall 'P 1'
loop_
_atom_site_label
_atom_site_fract_x
_atom_site_fract_y
_atom_site_fract_z
_atom_site_occupancy
Bi1 0.0000 0.0000 0.0000 1
Bi2 0.5000 0.5000 0.5000 1
Pd1 0.0000 0.5000 0.5000 1
Pd2 0.5000 0.0000 0.5000 1
Pd3 0.5000 0.5000 0.0000 1
S1 0.2199 0.2199 0.2199 1
S2 0.7801 0.7801 0.7801 1
# * electronic total energy: -4.814 eV per atom
# * ΔE to the lowest computed polymorph: 64 meV per atom
# * space-group type: R-3m

***

# 5
# PBE-GGA Ho3Sb4Au3, optimized geometry
data_Ho3Sb4Au3
_chemical_formula_sum 'Ho6 Sb8 Au6'
_cell_length_a 8.5787
_cell_length_b 8.5787
_cell_length_c 8.5787
_cell_angle_alpha 109.47
_cell_angle_beta 109.47
_cell_angle_gamma 109.47
_space_group_name_H-M_alt 'P 1'
_space_group_IT_number 1
_space_group_name_Hall 'P 1'
loop_
_atom_site_label
_atom_site_fract_x
_atom_site_fract_y
_atom_site_fract_z
_atom_site_occupancy
Ho1 0.1250 0.8750 0.2500 1
Ho2 0.2500 0.1250 0.8750 1
Ho3 0.3750 0.6250 0.7500 1
Ho4 0.6250 0.7500 0.3750 1
Ho5 0.7500 0.3750 0.6250 1
Ho6 0.8750 0.2500 0.1250 1
Sb1 0.0000 0.1813 0.5000 1
Sb2 0.0000 0.6813 0.5000 1
Sb3 0.1813 0.5000 0.0000 1
Sb4 0.3187 0.3187 0.3187 1
Sb5 0.5000 0.0000 0.1813 1
Sb6 0.5000 0.0000 0.6813 1
Sb7 0.6813 0.5000 0.0000 1
Sb8 0.8187 0.8187 0.8187 1
Au1 0.1250 0.7500 0.8750 1
Au2 0.2500 0.6250 0.3750 1
Au3 0.3750 0.2500 0.6250 1
Au4 0.6250 0.3750 0.2500 1
Au5 0.7500 0.8750 0.1250 1
Au6 0.8750 0.1250 0.7500 1
# * electronic total energy: -4.804 eV per atom
# * space-group type: I-43d

***

# 6
# PBE-GGA Te2Mo3WS6, optimized geometry
data_Te2Mo3WS6
_chemical_formula_sum 'Te2 Mo3 W1 S6'
_cell_length_a 3.2751
_cell_length_b 3.2751
_cell_length_c 37.7848
_cell_angle_alpha 90.00
_cell_angle_beta 90.00
_cell_angle_gamma 120.00
_space_group_name_H-M_alt 'P 1'
_space_group_IT_number 1
_space_group_name_Hall 'P 1'
loop_
_atom_site_label
_atom_site_fract_x
_atom_site_fract_y
_atom_site_fract_z
_atom_site_occupancy
Te1 0.0000 0.0000 0.0000 1
Te2 0.0000 0.0000 0.1019 1
Mo1 0.0000 0.0000 0.2390 1
Mo2 0.0000 0.0000 0.8627 1
Mo3 0.3333 0.6667 0.0510 1
W1 0.3333 0.6667 0.4267 1
S1 0.0000 0.0000 0.3859 1
S2 0.0000 0.0000 0.4675 1
S3 0.3333 0.6667 0.1984 1
S4 0.3333 0.6667 0.2797 1
S5 0.3333 0.6667 0.8220 1
S6 0.3333 0.6667 0.9035 1
# * electronic total energy: -7.031 eV per atom
# * ΔE to the lowest computed polymorph: 0 meV per atom
# * space-group type: P3m1